1.
DyMn6Sn6 | r2SCAN | optimized geometry

Calculated values
Uncorrected energy = -20.92 eV per atom
ΔE_f = -0.2590 eV per atom

Unit cell a=5.6843 b=5.6843 c=9.1680 alpha=90.00 beta=90.00 gamma=120.00
Space group P6/mmm (No. 191)
One atom of each set of equivalent atoms:
Dy1 0.0000 0.0000 0.0000 (multiplicity 1)
Mn1 0.0000 0.5000 0.2467 (multiplicity 6)
Sn1 0.0000 0.0000 0.3354 (multiplicity 2)
Sn2 0.3333 0.6667 0.0000 (multiplicity 2)
Sn3 0.3333 0.6667 0.5000 (multiplicity 2)



2.
CoPO4 | r2SCAN | optimized geometry

Calculated values
Uncorrected energy = -9.55 eV per atom
ΔE_f = -1.8588 eV per atom

Unit cell a=8.4523 b=5.2188 c=8.7583 alpha=90.00 beta=108.31 gamma=90.00
Space group Cc (No. 9)
One atom of each set of equivalent atoms:
Co1 0.0000 0.2101 0.0000 (multiplicity 4)
P1 0.1207 0.3005 0.3689 (multiplicity 4)
O1 0.0555 0.1210 0.4743 (multiplicity 4)
O2 0.1434 0.4319 0.9449 (multiplicity 4)
O3 0.2900 0.2131 0.3577 (multiplicity 4)
O4 0.4942 0.1934 0.6992 (multiplicity 4)



3.
LiMg2 | r2SCAN | optimized geometry

Calculated values
Uncorrected energy = -3.60 eV per atom
ΔE_f = -0.0242 eV per atom

Unit cell a=9.3699 b=5.4012 c=5.9851 alpha=90.00 beta=122.51 gamma=90.00
Space group C2/c (No. 15)
One atom of each set of equivalent atoms:
Li1 0.0000 0.0876 0.2500 (multiplicity 4)
Mg1 0.1687 0.4127 0.7503 (multiplicity 8)



4.
AcRh2Pb | r2SCAN | optimized geometry

Calculated values
Uncorrected energy = -43.64 eV per atom
ΔE_f = -0.3461 eV per atom

Unit cell a=7.0366 b=7.0366 c=7.0366 alpha=90.00 beta=90.00 gamma=90.00
Space group Fm-3m (No. 225)
One atom of each set of equivalent atoms:
Ac1 0.0000 0.0000 0.0000 (multiplicity 4)
Rh1 0.2500 0.2500 0.2500 (multiplicity 8)
Pb1 0.0000 0.0000 0.5000 (multiplicity 4)